A relaxed KUI3O11 crystal. Source: the Materials Project, functional PBE.

The structure in CIF format:
```
data_KUI3O11
_space_group_name_H-M_alt 'P b c a'
_space_group_IT_number 61
_space_group_name_Hall '-P 2ac 2ab'
_cell_length_a 7.400
_cell_length_b 26.006
_cell_length_c 11.685
_cell_angle_alpha 90.00
_cell_angle_beta 90.00
_cell_angle_gamma 90.00
loop_
_atom_site_label
_atom_site_type_symbol
_atom_site_fract_x
_atom_site_fract_y
_atom_site_fract_z
K1 K 0.053 0.021 0.163
U1 U 0.036 0.652 0.525
I1 I 0.047 0.062 0.561
I2 I 0.065 0.703 0.840
I3 I 0.139 0.655 0.204
O1 O 0.026 0.084 0.974
O2 O 0.039 0.655 0.725
O3 O 0.090 0.720 0.522
O4 O 0.108 0.589 0.157
O5 O 0.123 0.165 0.153
O6 O 0.134 0.038 0.695
O7 O 0.169 0.127 0.560
O8 O 0.178 0.023 0.462
O9 O 0.216 0.642 0.351
O10 O 0.219 0.667 0.934
O11 O 0.222 0.747 0.771
```

Output
Its magnetic moment is 0.0 μB per formula unit. Its MP2020-corrected energy is -0.2260 Ha/atom. The value obtained for the uncorrected energy is -726.9 eV/cell.


A relaxed CsInI3 crystal. Source: the Materials Project, functional PBE.

The structure in CIF format:
```
data_CsInI3
_space_group_name_H-M_alt 'F m -3 m'
_space_group_IT_number 225
_space_group_name_Hall '-F 4 2 3'
_cell_length_a 12.461
_cell_length_b 12.461
_cell_length_c 12.461
_cell_angle_alpha 90.00
_cell_angle_beta 90.00
_cell_angle_gamma 90.00
loop_
_atom_site_label
_atom_site_type_symbol
_atom_site_fract_x
_atom_site_fract_y
_atom_site_fract_z
Cs1 Cs 0.250 0.250 0.250
In1 In 0.000 0.000 0.000
In2 In 0.000 0.000 0.500
I1 I 0.000 0.000 0.240
```

Output
Its magnetic moment is 0.0 μB per formula unit. Its MP2020-corrected energy is -0.1028 Ha/atom. The value obtained for the uncorrected energy is -102.8 eV/cell.


A relaxed Rb2BrCl6F crystal. Source: the Materials Project, functional PBE.

The structure in CIF format:
```
data_Rb2BrCl6F
_space_group_name_H-M_alt 'F m -3 m'
_space_group_IT_number 225
_space_group_name_Hall '-F 4 2 3'
_cell_length_a 10.251
_cell_length_b 10.251
_cell_length_c 10.251
_cell_angle_alpha 90.00
_cell_angle_beta 90.00
_cell_angle_gamma 90.00
loop_
_atom_site_label
_atom_site_type_symbol
_atom_site_fract_x
_atom_site_fract_y
_atom_site_fract_z
Rb1 Rb 0.250 0.250 0.250
Br1 Br 0.000 0.000 0.000
Cl1 Cl 0.000 0.000 0.241
F1 F 0.000 0.000 0.500
```

Output
Its MP2020-corrected energy is -0.0909 Ha/atom. The value obtained for the uncorrected energy is -97.1 eV/cell.